# 1
## Ca2Al3Si3O14 (GGA-PBE)

Data for crystalline Ca2Al3Si3O14 at its relaxed geometry.

Summary:
energy of formation: -67.28 eV/f.u.
E (MP2020): -7.6399 eV per atom
space-group type: C2/m

a b c (Å): 10.390 10.390 8.670
angles (deg): 97.51 97.51 33.04
Element x y z (fractional)
Ca  0.153  0.153  0.163
Ca  0.339  0.339  0.248
Ca  0.661  0.661  0.752
Ca  0.847  0.847  0.837
Al  0.000  0.500  0.500
Al  0.238  0.750  0.256
Al  0.250  0.762  0.744
Al  0.500  0.000  0.500
Al  0.750  0.238  0.256
Al  0.762  0.250  0.744
Si  0.098  0.098  0.534
Si  0.257  0.257  0.832
Si  0.414  0.414  0.942
Si  0.586  0.586  0.058
Si  0.743  0.743  0.168
Si  0.902  0.902  0.466
O  0.026  0.490  0.724
O  0.042  0.042  0.375
O  0.045  0.045  0.866
O  0.136  0.696  0.357
O  0.175  0.175  0.481
O  0.199  0.199  0.941
O  0.205  0.659  0.852
O  0.304  0.304  0.490
O  0.304  0.864  0.643
O  0.331  0.331  0.953
O  0.341  0.795  0.148
O  0.446  0.446  0.128
O  0.476  0.476  0.621
O  0.490  0.026  0.724
O  0.510  0.974  0.276
O  0.524  0.524  0.379
O  0.554  0.554  0.872
O  0.659  0.205  0.852
O  0.669  0.669  0.047
O  0.696  0.136  0.357
O  0.696  0.696  0.510
O  0.795  0.341  0.148
O  0.801  0.801  0.059
O  0.825  0.825  0.519
O  0.864  0.304  0.643
O  0.955  0.955  0.134
O  0.958  0.958  0.625
O  0.974  0.510  0.276



# 2
## Ca3SbP (GGA-PBE)

Data for crystalline Ca3SbP at its relaxed geometry.

Summary:
energy of formation: -4.92 eV/f.u.
space-group type: Pm-3m
relative energy among the computed polymorphs: 0.0 meV per atom

a b c (Å): 5.390 5.390 5.390
angles (deg): 90.00 90.00 90.00
Element x y z (fractional)
Ca  0.000  0.000  0.500
Ca  0.000  0.500  0.000
Ca  0.500  0.000  0.000
Sb  0.500  0.500  0.500
P  0.000  0.000  0.000



# 3
## Sr3Nd2B4O12 (GGA-PBE)

Data for crystalline Sr3Nd2B4O12 at its relaxed geometry.

Summary:
energy of formation: -70.30 eV/f.u.
E (MP2020): -8.1429 eV per atom
space-group type: Pna2_1

a b c (Å): 7.389 8.877 16.725
angles (deg): 90.00 90.00 90.00
Element x y z (fractional)
Sr  0.037  0.171  0.000
Sr  0.177  0.649  0.705
Sr  0.193  0.649  0.954
Sr  0.307  0.149  0.454
Sr  0.323  0.149  0.205
Sr  0.463  0.671  0.500
Sr  0.537  0.329  0.000
Sr  0.677  0.851  0.705
Sr  0.693  0.851  0.954
Sr  0.807  0.351  0.454
Sr  0.823  0.351  0.205
Sr  0.963  0.829  0.500
Nd  0.028  0.171  0.662
Nd  0.184  0.534  0.332
Nd  0.316  0.034  0.832
Nd  0.472  0.671  0.162
Nd  0.528  0.329  0.662
Nd  0.684  0.966  0.332
Nd  0.816  0.466  0.832
Nd  0.972  0.829  0.162
B  0.015  0.129  0.327
B  0.162  0.437  0.540
B  0.173  0.452  0.124
B  0.221  0.354  0.830
B  0.279  0.854  0.330
B  0.327  0.952  0.624
B  0.338  0.937  0.040
B  0.485  0.629  0.827
B  0.515  0.371  0.327
B  0.662  0.063  0.540
B  0.673  0.048  0.124
B  0.721  0.146  0.830
B  0.779  0.646  0.330
B  0.827  0.548  0.624
B  0.838  0.563  0.040
B  0.985  0.871  0.827
O  0.039  0.947  0.757
O  0.049  0.926  0.899
O  0.080  0.295  0.540
O  0.106  0.307  0.125
O  0.112  0.558  0.180
O  0.115  0.536  0.480
O  0.116  0.260  0.323
O  0.135  0.491  0.831
O  0.190  0.994  0.572
O  0.208  0.970  0.097
O  0.230  0.779  0.399
O  0.250  0.279  0.758
O  0.250  0.779  0.258
O  0.270  0.279  0.899
O  0.292  0.470  0.597
O  0.310  0.494  0.072
O  0.365  0.991  0.331
O  0.384  0.760  0.823
O  0.385  0.036  0.980
O  0.388  0.058  0.680
O  0.394  0.807  0.625
O  0.420  0.795  0.040
O  0.451  0.426  0.399
O  0.461  0.447  0.257
O  0.539  0.553  0.757
O  0.549  0.574  0.899
O  0.580  0.205  0.540
O  0.606  0.193  0.125
O  0.612  0.942  0.180
O  0.615  0.964  0.480
O  0.616  0.240  0.323
O  0.635  0.009  0.831
O  0.690  0.506  0.572
O  0.708  0.530  0.097
O  0.730  0.721  0.399
O  0.750  0.221  0.758
O  0.750  0.721  0.258
O  0.770  0.221  0.899
O  0.792  0.030  0.597
O  0.810  0.006  0.072
O  0.865  0.509  0.331
O  0.884  0.740  0.823
O  0.885  0.464  0.980
O  0.888  0.442  0.680
O  0.894  0.693  0.625
O  0.920  0.705  0.040
O  0.951  0.074  0.399
O  0.961  0.053  0.257



# 4
## LaB4Os4 (GGA-PBE)

Data for crystalline LaB4Os4 at its relaxed geometry.

Summary:
energy of formation: -3.54 eV/f.u.
space-group type: P4_2/n

a b c (Å): 7.658 7.658 4.007
angles (deg): 90.00 90.00 90.00
Element x y z (fractional)
La  0.250  0.250  0.250
La  0.750  0.750  0.750
B  0.032  0.585  0.140
B  0.085  0.968  0.640
B  0.415  0.532  0.640
B  0.468  0.915  0.140
B  0.532  0.085  0.860
B  0.585  0.468  0.360
B  0.915  0.032  0.360
B  0.968  0.415  0.860
Os  0.104  0.856  0.140
Os  0.144  0.604  0.640
Os  0.356  0.896  0.640
Os  0.396  0.644  0.140
Os  0.604  0.356  0.860
Os  0.644  0.104  0.360
Os  0.856  0.396  0.360
Os  0.896  0.144  0.860



# 5
## Y2Si2O7 (GGA-PBE)

Data for crystalline Y2Si2O7 at its relaxed geometry.

Summary:
energy of formation: -39.95 eV/f.u.
E (MP2020): -8.9426 eV per atom
space-group type: P2_1/m

a b c (Å): 5.115 8.140 7.449
angles (deg): 90.00 107.10 90.00
Element x y z (fractional)
Y  0.000  0.000  0.000
Y  0.000  0.500  0.000
Y  0.500  0.000  0.500
Y  0.500  0.500  0.500
Si  0.026  0.250  0.607
Si  0.399  0.750  0.816
Si  0.601  0.250  0.184
Si  0.974  0.750  0.393
O  0.035  0.580  0.297
O  0.035  0.920  0.297
O  0.185  0.750  0.940
O  0.241  0.750  0.585
O  0.317  0.250  0.558
O  0.421  0.083  0.172
O  0.421  0.417  0.172
O  0.579  0.583  0.828
O  0.579  0.917  0.828
O  0.683  0.750  0.442
O  0.759  0.250  0.415
O  0.815  0.250  0.060
O  0.965  0.080  0.703
O  0.965  0.420  0.703



# 6
## CsGdC2O6 (GGA-PBE)

Data for crystalline CsGdC2O6 at its relaxed geometry.

Summary:
energy of formation: -25.38 eV/f.u.
E (MP2020): -8.8492 eV per atom
space-group type: P-1

a b c (Å): 8.580 8.891 8.892
angles (deg): 98.72 96.59 115.37
Element x y z (fractional)
Cs  0.241  0.190  0.027
Cs  0.245  0.031  0.537
Cs  0.755  0.969  0.463
Cs  0.759  0.810  0.973
Gd  0.241  0.714  0.043
Gd  0.261  0.522  0.549
Gd  0.739  0.478  0.451
Gd  0.759  0.286  0.957
C  0.005  0.723  0.713
C  0.029  0.298  0.789
C  0.415  0.600  0.267
C  0.456  0.859  0.760
C  0.544  0.141  0.240
C  0.585  0.400  0.733
C  0.971  0.702  0.211
C  0.995  0.277  0.287
O  0.047  0.626  0.617
O  0.065  0.429  0.902
O  0.095  0.799  0.852
O  0.104  0.844  0.206
O  0.119  0.308  0.683
O  0.134  0.262  0.339
O  0.276  0.618  0.294
O  0.391  0.727  0.825
O  0.442  0.823  0.611
O  0.463  0.627  0.137
O  0.469  0.987  0.160
O  0.495  0.557  0.372
O  0.505  0.443  0.628
O  0.531  0.013  0.840
O  0.537  0.373  0.863
O  0.558  0.177  0.389
O  0.609  0.273  0.175
O  0.724  0.382  0.706
O  0.866  0.738  0.661
O  0.881  0.692  0.317
O  0.896  0.156  0.794
O  0.905  0.201  0.148
O  0.935  0.571  0.098
O  0.953  0.374  0.383



# 7
## CsTmSeCl2O3 (GGA-PBE)

Data for crystalline CsTmSeCl2O3 at its relaxed geometry.

Summary:
energy of formation: -18.35 eV/f.u.
E (MP2020): -5.7202 eV per atom
space-group type: P2_1/c

a b c (Å): 6.640 6.973 18.109
angles (deg): 90.00 102.78 90.00
Element x y z (fractional)
Cs  0.247  0.210  0.054
Cs  0.247  0.290  0.554
Cs  0.753  0.710  0.446
Cs  0.753  0.790  0.946
Tm  0.138  0.679  0.258
Tm  0.138  0.821  0.758
Tm  0.862  0.179  0.242
Tm  0.862  0.321  0.742
Se  0.363  0.183  0.292
Se  0.363  0.317  0.792
Se  0.637  0.683  0.208
Se  0.637  0.817  0.708
Cl  0.127  0.688  0.112
Cl  0.127  0.812  0.612
Cl  0.228  0.661  0.407
Cl  0.228  0.839  0.907
Cl  0.772  0.161  0.093
Cl  0.772  0.339  0.593
Cl  0.873  0.188  0.388
Cl  0.873  0.312  0.888
O  0.176  0.145  0.756
O  0.176  0.355  0.256
O  0.181  0.002  0.264
O  0.181  0.498  0.764
O  0.488  0.675  0.273
O  0.488  0.825  0.773
O  0.512  0.175  0.227
O  0.512  0.325  0.727
O  0.819  0.502  0.236
O  0.819  0.998  0.736
O  0.824  0.645  0.744
O  0.824  0.855  0.244



# 8
## MgMnVS4 (GGA-PBE)

Data for crystalline MgMnVS4 at its relaxed geometry.

Summary:
energy of formation: -8.16 eV/f.u.
E (MP2020): -6.3645 eV per atom
space-group type: Imma

a b c (Å): 7.283 7.283 7.283
angles (deg): 120.52 120.00 89.56
Element x y z (fractional)
Mg  0.376  0.126  0.250
Mg  0.624  0.874  0.750
Mn  0.000  0.500  0.500
Mn  0.500  0.500  0.000
V  0.000  0.000  0.500
V  0.000  0.500  0.000
S  0.215  0.741  0.475
S  0.234  0.259  0.975
S  0.237  0.260  0.524
S  0.237  0.713  0.976
S  0.763  0.287  0.024
S  0.763  0.740  0.476
S  0.766  0.741  0.025
S  0.785  0.259  0.525



# 9
## B10H13Br (GGA-PBE)

Data for crystalline B10H13Br at its relaxed geometry.

Summary:
energy of formation: -3.17 eV/f.u.
E (MP2020): -4.8213 eV per atom
space-group type: P2_1/c

a b c (Å): 12.763 7.812 11.509
angles (deg): 90.00 115.21 90.00
Element x y z (fractional)
B  0.091  0.235  0.413
B  0.091  0.265  0.913
B  0.142  0.153  0.816
B  0.142  0.347  0.316
B  0.158  0.031  0.950
B  0.158  0.469  0.450
B  0.166  0.123  0.336
B  0.166  0.377  0.836
B  0.185  0.058  0.487
B  0.185  0.442  0.987
B  0.270  0.027  0.894
B  0.270  0.473  0.394
B  0.280  0.239  0.846
B  0.280  0.261  0.346
B  0.308  0.020  0.057
B  0.308  0.480  0.557
B  0.310  0.096  0.459
B  0.310  0.404  0.959
B  0.379  0.172  0.999
B  0.379  0.328  0.499
B  0.621  0.672  0.501
B  0.621  0.828  0.001
B  0.690  0.596  0.041
B  0.690  0.904  0.541
B  0.692  0.520  0.443
B  0.692  0.980  0.943
B  0.720  0.739  0.654
B  0.720  0.761  0.154
B  0.730  0.527  0.606
B  0.730  0.973  0.106
B  0.815  0.558  0.013
B  0.815  0.942  0.513
B  0.834  0.623  0.164
B  0.834  0.877  0.664
B  0.842  0.531  0.550
B  0.842  0.969  0.050
B  0.858  0.653  0.684
B  0.858  0.847  0.184
B  0.909  0.735  0.087
B  0.909  0.765  0.587
H  0.009  0.723  0.108
H  0.009  0.777  0.608
H  0.070  0.099  0.717
H  0.070  0.401  0.217
H  0.096  0.587  0.443
H  0.096  0.913  0.943
H  0.123  0.029  0.246
H  0.123  0.471  0.746
H  0.146  0.186  0.535
H  0.146  0.314  0.035
H  0.160  0.572  0.023
H  0.160  0.928  0.523
H  0.212  0.071  0.072
H  0.212  0.429  0.572
H  0.289  0.591  0.341
H  0.289  0.909  0.841
H  0.297  0.087  0.567
H  0.297  0.413  0.067
H  0.323  0.244  0.272
H  0.323  0.256  0.772
H  0.364  0.170  0.105
H  0.364  0.330  0.605
H  0.374  0.519  0.967
H  0.374  0.981  0.467
H  0.480  0.160  0.031
H  0.480  0.340  0.531
H  0.520  0.660  0.469
H  0.520  0.840  0.969
H  0.626  0.019  0.533
H  0.626  0.481  0.033
H  0.636  0.670  0.395
H  0.636  0.830  0.895
H  0.677  0.744  0.228
H  0.677  0.756  0.728
H  0.703  0.587  0.933
H  0.703  0.913  0.433
H  0.711  0.091  0.159
H  0.711  0.409  0.659
H  0.788  0.571  0.428
H  0.788  0.929  0.928
H  0.840  0.072  0.477
H  0.840  0.428  0.977
H  0.854  0.686  0.965
H  0.854  0.814  0.465
H  0.877  0.529  0.254
H  0.877  0.971  0.754
H  0.904  0.087  0.057
H  0.904  0.413  0.557
H  0.930  0.599  0.783
H  0.930  0.901  0.283
H  0.991  0.223  0.392
H  0.991  0.277  0.892
Br  0.385  0.656  0.683
Br  0.385  0.844  0.183
Br  0.615  0.156  0.817
Br  0.615  0.344  0.317



# 10
## MnTl3 (GGA-PBE)

Data for crystalline MnTl3 at its relaxed geometry.

Summary:
energy of formation: 1.56 eV/f.u.
space-group type: I4/mmm

a b c (Å): 5.917 5.917 5.917
angles (deg): 134.43 134.43 66.42
Element x y z (fractional)
Mn  0.000  0.000  0.000
Tl  0.250  0.750  0.500
Tl  0.500  0.500  0.000
Tl  0.750  0.250  0.500